Entry 1:
Computed, not measured: a relaxed structure of MnSe at the PBE-GGA level of DFT.

Values from the calculation:
Symmetry ... P4/nmm
Raw total energy ... -6.66 eV per atom

a = 3.613 Å, b = 3.613 Å, c = 6.246 Å
α = 90.00°, β = 90.00°, γ = 90.00°
Fractional positions:
Mn (0.250, 0.750, 0.000)
Mn (0.750, 0.250, 0.000)
Se (0.250, 0.250, 0.250)
Se (0.750, 0.750, 0.750)

***

Entry 2:
Computed, not measured: a relaxed structure of FeMo6Se8 at the PBE-GGA level of DFT.

Values from the calculation:
Symmetry ... P-1
Raw total energy ... -7.23 eV per atom

a = 6.837 Å, b = 9.615 Å, c = 9.723 Å
α = 90.32°, β = 91.16°, γ = 95.83°
Fractional positions:
Fe (0.117, 0.273, 0.262)
Fe (0.883, 0.727, 0.738)
Mo (0.233, 0.485, 0.432)
Mo (0.236, 0.980, 0.929)
Mo (0.417, 0.891, 0.156)
Mo (0.418, 0.392, 0.654)
Mo (0.457, 0.174, 0.094)
Mo (0.468, 0.675, 0.597)
Mo (0.532, 0.325, 0.403)
Mo (0.543, 0.826, 0.906)
Mo (0.582, 0.608, 0.346)
Mo (0.583, 0.109, 0.844)
Mo (0.764, 0.020, 0.071)
Mo (0.767, 0.515, 0.568)
Se (0.126, 0.036, 0.179)
Se (0.134, 0.555, 0.681)
Se (0.202, 0.215, 0.498)
Se (0.207, 0.721, 0.990)
Se (0.273, 0.243, 0.872)
Se (0.277, 0.746, 0.380)
Se (0.373, 0.929, 0.691)
Se (0.380, 0.436, 0.179)
Se (0.620, 0.564, 0.821)
Se (0.627, 0.071, 0.309)
Se (0.723, 0.254, 0.620)
Se (0.727, 0.757, 0.128)
Se (0.793, 0.279, 0.010)
Se (0.798, 0.785, 0.502)
Se (0.866, 0.445, 0.319)
Se (0.874, 0.964, 0.821)

***

Entry 3:
Computed, not measured: a relaxed structure of CaF3 at the PBE-GGA level of DFT.

Values from the calculation:
Symmetry ... P6_3/mmc
Raw total energy ... -4.61 eV per atom

a = 4.942 Å, b = 4.942 Å, c = 4.507 Å
α = 90.00°, β = 90.00°, γ = 120.00°
Fractional positions:
Ca (0.333, 0.667, 0.250)
Ca (0.667, 0.333, 0.750)
F (0.176, 0.353, 0.750)
F (0.176, 0.824, 0.750)
F (0.353, 0.176, 0.250)
F (0.647, 0.824, 0.750)
F (0.824, 0.176, 0.250)
F (0.824, 0.647, 0.250)

***

Entry 4:
Computed, not measured: a relaxed structure of Na2PdC4O10 at the PBE-GGA level of DFT.

Values from the calculation:
Symmetry ... P-1
Raw total energy ... -6.32 eV per atom

a = 4.068 Å, b = 7.265 Å, c = 9.789 Å
α = 72.68°, β = 87.17°, γ = 75.24°
Fractional positions:
Na (0.120, 0.201, 0.081)
Na (0.880, 0.799, 0.919)
Pd (0.500, 0.500, 0.500)
C (0.241, 0.525, 0.234)
C (0.333, 0.727, 0.215)
C (0.667, 0.273, 0.785)
C (0.759, 0.475, 0.766)
O (0.102, 0.502, 0.133)
O (0.278, 0.856, 0.097)
O (0.322, 0.394, 0.358)
O (0.368, 0.900, 0.776)
O (0.472, 0.741, 0.326)
O (0.528, 0.259, 0.674)
O (0.632, 0.100, 0.224)
O (0.678, 0.606, 0.642)
O (0.722, 0.144, 0.903)
O (0.898, 0.498, 0.867)

***

Entry 5:
Computed, not measured: a relaxed structure of MgCdAg2 at the PBE-GGA level of DFT.

Values from the calculation:
Symmetry ... Fm-3m
Raw total energy ... -2.22 eV per atom

a = 4.758 Å, b = 4.758 Å, c = 4.758 Å
α = 60.00°, β = 60.00°, γ = 60.00°
Fractional positions:
Mg (0.000, 0.000, 0.000)
Cd (0.500, 0.500, 0.500)
Ag (0.250, 0.250, 0.250)
Ag (0.750, 0.750, 0.750)

***

Entry 6:
Computed, not measured: a relaxed structure of TiCl3 at the PBE-GGA level of DFT.

Values from the calculation:
Symmetry ... P-31c
Raw total energy ... -4.94 eV per atom

a = 6.113 Å, b = 6.113 Å, c = 12.554 Å
α = 90.00°, β = 90.00°, γ = 120.00°
Fractional positions:
Ti (0.000, 0.000, 0.250)
Ti (0.000, 0.000, 0.750)
Ti (0.333, 0.667, 0.250)
Ti (0.667, 0.333, 0.750)
Cl (0.020, 0.333, 0.138)
Cl (0.020, 0.686, 0.362)
Cl (0.314, 0.333, 0.362)
Cl (0.314, 0.980, 0.138)
Cl (0.333, 0.020, 0.638)
Cl (0.333, 0.314, 0.862)
Cl (0.667, 0.686, 0.138)
Cl (0.667, 0.980, 0.362)
Cl (0.686, 0.020, 0.862)
Cl (0.686, 0.667, 0.638)
Cl (0.980, 0.314, 0.638)
Cl (0.980, 0.667, 0.862)

***

Entry 7:
Computed, not measured: a relaxed structure of Te4Mo3WSe4 at the PBE-GGA level of DFT.

Values from the calculation:
Symmetry ... P3m1
Raw total energy ... -6.42 eV per atom

a = 3.439 Å, b = 3.439 Å, c = 39.136 Å
α = 90.00°, β = 90.00°, γ = 120.00°
Fractional positions:
Te (0.000, 0.000, 0.000)
Te (0.000, 0.000, 0.095)
Te (0.333, 0.667, 0.812)
Te (0.333, 0.667, 0.907)
Mo (0.000, 0.000, 0.235)
Mo (0.000, 0.000, 0.859)
Mo (0.333, 0.667, 0.047)
W (0.333, 0.667, 0.423)
Se (0.000, 0.000, 0.381)
Se (0.000, 0.000, 0.465)
Se (0.333, 0.667, 0.193)
Se (0.333, 0.667, 0.277)

***

Entry 8:
Computed, not measured: a relaxed structure of Ce2Ga5Au3 at the PBE-GGA level of DFT.

Values from the calculation:
Symmetry ... P-4m2
Raw total energy ... -4.15 eV per atom

a = 4.351 Å, b = 4.351 Å, c = 10.992 Å
α = 90.00°, β = 90.00°, γ = 90.00°
Fractional positions:
Ce (0.000, 0.500, 0.248)
Ce (0.500, 0.000, 0.752)
Ga (0.000, 0.000, 0.500)
Ga (0.000, 0.500, 0.629)
Ga (0.500, 0.000, 0.371)
Ga (0.500, 0.500, 0.000)
Ga (0.500, 0.500, 0.500)
Au (0.000, 0.000, 0.000)
Au (0.000, 0.500, 0.853)
Au (0.500, 0.000, 0.147)

***

Entry 9:
Computed, not measured: a relaxed structure of CuH28C10N6Cl4 at the PBE-GGA level of DFT.

Values from the calculation:
Symmetry ... C2/c
Raw total energy ... -5.31 eV per atom

a = 10.903 Å, b = 10.903 Å, c = 15.976 Å
α = 122.57°, β = 122.57°, γ = 47.12°
Fractional positions:
Cu (0.219, 0.781, 0.750)
Cu (0.781, 0.219, 0.250)
H (0.021, 0.316, 0.708)
H (0.059, 0.466, 0.277)
H (0.059, 0.813, 0.070)
H (0.064, 0.829, 0.966)
H (0.071, 0.141, 0.518)
H (0.141, 0.071, 0.018)
H (0.167, 0.688, 0.242)
H (0.171, 0.936, 0.534)
H (0.173, 0.228, 0.483)
H (0.178, 0.384, 0.874)
H (0.187, 0.941, 0.430)
H (0.193, 0.514, 0.847)
H (0.199, 0.544, 0.356)
H (0.223, 0.373, 0.593)
H (0.228, 0.173, 0.983)
H (0.267, 0.506, 0.142)
H (0.271, 0.506, 0.976)
H (0.312, 0.833, 0.258)
H (0.316, 0.021, 0.208)
H (0.373, 0.223, 0.093)
H (0.373, 0.493, 0.272)
H (0.384, 0.178, 0.374)
H (0.456, 0.801, 0.144)
H (0.466, 0.059, 0.777)
H (0.486, 0.807, 0.653)
H (0.493, 0.373, 0.772)
H (0.494, 0.729, 0.524)
H (0.494, 0.733, 0.358)
H (0.506, 0.267, 0.642)
H (0.506, 0.271, 0.476)
H (0.507, 0.627, 0.228)
H (0.514, 0.193, 0.347)
H (0.534, 0.941, 0.223)
H (0.544, 0.199, 0.856)
H (0.616, 0.822, 0.626)
H (0.627, 0.507, 0.728)
H (0.627, 0.777, 0.907)
H (0.684, 0.979, 0.792)
H (0.688, 0.167, 0.742)
H (0.729, 0.494, 0.024)
H (0.733, 0.494, 0.858)
H (0.772, 0.827, 0.017)
H (0.777, 0.627, 0.407)
H (0.801, 0.456, 0.644)
H (0.807, 0.486, 0.153)
H (0.813, 0.059, 0.570)
H (0.822, 0.616, 0.126)
H (0.827, 0.772, 0.517)
H (0.829, 0.064, 0.466)
H (0.833, 0.312, 0.758)
H (0.859, 0.929, 0.982)
H (0.929, 0.859, 0.482)
H (0.936, 0.171, 0.034)
H (0.941, 0.187, 0.930)
H (0.941, 0.534, 0.723)
H (0.979, 0.684, 0.292)
C (0.006, 0.183, 0.011)
C (0.092, 0.548, 0.285)
C (0.134, 0.357, 0.111)
C (0.170, 0.505, 0.902)
C (0.183, 0.006, 0.511)
C (0.246, 0.545, 0.214)
C (0.357, 0.134, 0.611)
C (0.452, 0.908, 0.215)
C (0.455, 0.754, 0.286)
C (0.495, 0.830, 0.598)
C (0.505, 0.170, 0.402)
C (0.545, 0.246, 0.714)
C (0.548, 0.092, 0.785)
C (0.643, 0.866, 0.389)
C (0.754, 0.455, 0.786)
C (0.817, 0.994, 0.489)
C (0.830, 0.495, 0.098)
C (0.866, 0.643, 0.889)
C (0.908, 0.452, 0.715)
C (0.994, 0.817, 0.989)
N (0.000, 0.344, 0.079)
N (0.000, 0.656, 0.921)
N (0.150, 0.482, 0.197)
N (0.246, 0.252, 0.558)
N (0.252, 0.246, 0.058)
N (0.344, 0.000, 0.579)
N (0.482, 0.150, 0.697)
N (0.518, 0.850, 0.303)
N (0.656, 0.000, 0.421)
N (0.748, 0.754, 0.942)
N (0.754, 0.748, 0.442)
N (0.850, 0.518, 0.803)
Cl (0.006, 0.246, 0.302)
Cl (0.246, 0.006, 0.802)
Cl (0.274, 0.636, 0.595)
Cl (0.364, 0.726, 0.905)
Cl (0.636, 0.274, 0.095)
Cl (0.726, 0.364, 0.405)
Cl (0.754, 0.994, 0.198)
Cl (0.994, 0.754, 0.698)

***

Entry 10:
Computed, not measured: a relaxed structure of Os5C16O16 at the PBE-GGA level of DFT.

Values from the calculation:
Symmetry ... P3_121
Raw total energy ... -8.28 eV per atom

a = 9.309 Å, b = 9.309 Å, c = 25.290 Å
α = 90.00°, β = 90.00°, γ = 120.00°
Fractional positions:
Os (0.000, 0.128, 0.167)
Os (0.128, 0.000, 0.833)
Os (0.144, 0.476, 0.136)
Os (0.159, 0.399, 0.244)
Os (0.240, 0.841, 0.910)
Os (0.332, 0.856, 0.802)
Os (0.399, 0.159, 0.756)
Os (0.476, 0.144, 0.864)
Os (0.524, 0.668, 0.469)
Os (0.601, 0.760, 0.577)
Os (0.668, 0.524, 0.531)
Os (0.760, 0.601, 0.423)
Os (0.841, 0.240, 0.090)
Os (0.856, 0.332, 0.198)
Os (0.872, 0.872, 0.500)
C (0.018, 0.797, 0.789)
C (0.051, 0.104, 0.783)
C (0.052, 0.626, 0.918)
C (0.052, 0.949, 0.450)
C (0.094, 0.284, 0.309)
C (0.104, 0.051, 0.217)
C (0.151, 0.682, 0.135)
C (0.185, 0.491, 0.061)
C (0.190, 0.906, 0.976)
C (0.203, 0.221, 0.123)
C (0.204, 0.624, 0.819)
C (0.210, 0.609, 0.271)
C (0.221, 0.203, 0.877)
C (0.284, 0.094, 0.691)
C (0.306, 0.815, 0.728)
C (0.318, 0.469, 0.469)
C (0.374, 0.426, 0.252)
C (0.376, 0.580, 0.152)
C (0.391, 0.601, 0.604)
C (0.399, 0.790, 0.937)
C (0.420, 0.796, 0.485)
C (0.426, 0.374, 0.748)
C (0.469, 0.318, 0.531)
C (0.491, 0.185, 0.939)
C (0.509, 0.694, 0.394)
C (0.531, 0.849, 0.802)
C (0.574, 0.948, 0.585)
C (0.580, 0.376, 0.848)
C (0.601, 0.391, 0.396)
C (0.609, 0.210, 0.729)
C (0.624, 0.204, 0.181)
C (0.626, 0.052, 0.082)
C (0.682, 0.151, 0.865)
C (0.694, 0.509, 0.606)
C (0.716, 0.810, 0.642)
C (0.779, 0.982, 0.456)
C (0.790, 0.399, 0.063)
C (0.796, 0.420, 0.515)
C (0.797, 0.018, 0.211)
C (0.810, 0.716, 0.358)
C (0.815, 0.306, 0.272)
C (0.849, 0.531, 0.198)
C (0.896, 0.948, 0.116)
C (0.906, 0.190, 0.024)
C (0.948, 0.574, 0.415)
C (0.948, 0.896, 0.884)
C (0.949, 0.052, 0.550)
C (0.982, 0.779, 0.544)
O (0.004, 0.164, 0.579)
O (0.054, 0.214, 0.349)
O (0.064, 0.559, 0.409)
O (0.075, 0.758, 0.569)
O (0.125, 0.480, 0.821)
O (0.157, 0.810, 0.135)
O (0.159, 0.946, 0.016)
O (0.160, 0.996, 0.246)
O (0.164, 0.004, 0.421)
O (0.190, 0.347, 0.468)
O (0.214, 0.054, 0.651)
O (0.227, 0.511, 0.017)
O (0.235, 0.737, 0.286)
O (0.242, 0.317, 0.902)
O (0.263, 0.499, 0.620)
O (0.284, 0.773, 0.683)
O (0.317, 0.242, 0.098)
O (0.347, 0.190, 0.532)
O (0.355, 0.875, 0.487)
O (0.441, 0.505, 0.742)
O (0.480, 0.125, 0.179)
O (0.489, 0.716, 0.350)
O (0.495, 0.936, 0.076)
O (0.499, 0.263, 0.380)
O (0.501, 0.765, 0.953)
O (0.505, 0.441, 0.258)
O (0.511, 0.227, 0.983)
O (0.520, 0.645, 0.154)
O (0.559, 0.064, 0.591)
O (0.645, 0.520, 0.846)
O (0.653, 0.843, 0.801)
O (0.683, 0.925, 0.235)
O (0.716, 0.489, 0.650)
O (0.737, 0.235, 0.714)
O (0.758, 0.075, 0.431)
O (0.765, 0.501, 0.047)
O (0.773, 0.284, 0.317)
O (0.786, 0.841, 0.682)
O (0.810, 0.157, 0.865)
O (0.836, 0.840, 0.913)
O (0.840, 0.836, 0.087)
O (0.841, 0.786, 0.318)
O (0.843, 0.653, 0.199)
O (0.875, 0.355, 0.513)
O (0.925, 0.683, 0.765)
O (0.936, 0.495, 0.924)
O (0.946, 0.159, 0.984)
O (0.996, 0.160, 0.754)

***

Entry 11:
Computed, not measured: a relaxed structure of DyTe3 at the PBE-GGA level of DFT.

Values from the calculation:
Symmetry ... Cmcm
Raw total energy ... -4.07 eV per atom

a = 14.353 Å, b = 14.353 Å, c = 4.615 Å
α = 90.00°, β = 90.00°, γ = 163.95°
Fractional positions:
Dy (0.051, 0.949, 0.750)
Dy (0.949, 0.051, 0.250)
Te (0.163, 0.837, 0.750)
Te (0.314, 0.686, 0.750)
Te (0.448, 0.552, 0.750)
Te (0.552, 0.448, 0.250)
Te (0.686, 0.314, 0.250)
Te (0.837, 0.163, 0.250)

***

Look up the raw total energy of the eighth one.
-4.15 eV per atom

***

Among the records above, which one has the lowest raw total energy?
Os5C16O16

***

Which of these has the lowest raw total energy?
Os5C16O16